K2Bi2O5 | PBE | relaxed

a = 4.3550 Å, b = 4.3550 Å, c = 8.6891 Å
α = 90.00°, β = 90.00°, γ = 90.00°
Closest atoms and distances in Å follow each position.
Positions (direct):
1 K 0.0000 0.0000 0.0000  12 O 3.08-3.26
2 K 0.0000 0.0000 0.5000  8 O 2.90
3 Bi 0.5000 0.5000 0.2434  5 O 2.11-2.20
4 Bi 0.5000 0.5000 0.7566  5 O 2.11-2.20
5 O 0.0000 0.5000 0.2791  2 Bi 2.20
6 O 0.0000 0.5000 0.7209  2 Bi 2.20
7 O 0.5000 0.0000 0.2791  2 Bi 2.20
8 O 0.5000 0.0000 0.7209  2 Bi 2.20
9 O 0.5000 0.5000 0.0000  2 Bi 2.11

Calculated values
* total magnetization: 0.0 μB per formula unit
* energy: -5.058 eV/atom
* DFT formation energy: -1.580 eV/atom